VASP calculation (PBE-GGA) on a relaxed structure of Pa3Mo.

DFT total energy ... -9.64 eV/atom

Structure (CIF):
```
data_Pa3Mo
_chemical_formula_sum 'Pa6 Mo2'
_space_group_name_H-M_alt 'P 63/m m c'
_space_group_IT_number 194
_space_group_name_Hall '-P 6c 2c'
_cell_length_a 6.1500
_cell_length_b 6.1500
_cell_length_c 5.5571
_cell_angle_alpha 90.00
_cell_angle_beta 90.00
_cell_angle_gamma 120.00
loop_
_atom_site_label
_atom_site_type_symbol
_atom_site_fract_x
_atom_site_fract_y
_atom_site_fract_z
Pa1 Pa 0.1740 0.3480 0.2500
Mo1 Mo 0.3333 0.6667 0.7500
```